{"formula": "Rb2SeO4", "functional": "r2SCAN", "state": "relaxed", "magnetic_moment_mub_per_fu": 0.00, "ef_ev_per_atom": -1.5470, "lattice_angstrom": [[7.976, 0.000, 0.000], [0.000, 6.152, 0.000], [0.000, 0.000, 10.789]], "species": ["Rb", "Rb", "Rb", "Rb", "Rb", "Rb", "Rb", "Rb", "Se", "Se", "Se", "Se", "O", "O", "O", "O", "O", "O", "O", "O", "O", "O", "O", "O", "O", "O", "O", "O"], "frac_coords": [[0.008, 0.250, 0.204], [0.167, 0.750, 0.413], [0.333, 0.250, 0.913], [0.492, 0.750, 0.704], [0.508, 0.250, 0.296], [0.667, 0.750, 0.087], [0.833, 0.250, 0.587], [0.992, 0.750, 0.796], [0.228, 0.750, 0.080], [0.272, 0.250, 0.580], [0.728, 0.750, 0.420], [0.772, 0.250, 0.920], [0.022, 0.750, 0.081], [0.197, 0.250, 0.437], [0.201, 0.030, 0.652], [0.201, 0.470, 0.652], [0.299, 0.530, 0.152], [0.299, 0.970, 0.152], [0.303, 0.750, 0.937], [0.478, 0.250, 0.581], [0.522, 0.750, 0.419], [0.697, 0.250, 0.063], [0.701, 0.030, 0.848], [0.701, 0.470, 0.848], [0.799, 0.530, 0.348], [0.799, 0.970, 0.348], [0.803, 0.750, 0.563], [0.978, 0.250, 0.919]]}


{"formula": "RbVSeO5", "functional": "r2SCAN", "state": "relaxed", "magnetic_moment_mub_per_fu": 0.00, "ef_ev_per_atom": -1.8715, "lattice_angstrom": [[7.667, 0.000, 0.000], [0.000, 7.665, 0.000], [-0.656, 0.000, 9.328]], "species": ["Rb", "Rb", "Rb", "Rb", "V", "V", "V", "V", "Se", "Se", "Se", "Se", "O", "O", "O", "O", "O", "O", "O", "O", "O", "O", "O", "O", "O", "O", "O", "O", "O", "O", "O", "O"], "frac_coords": [[0.079, 0.000, 0.143], [0.393, 0.777, 0.610], [0.607, 0.277, 0.390], [0.921, 0.500, 0.857], [0.063, 0.460, 0.256], [0.434, 0.339, 0.756], [0.566, 0.839, 0.244], [0.937, 0.960, 0.744], [0.118, 0.257, 0.542], [0.376, 0.545, 0.066], [0.624, 0.045, 0.934], [0.882, 0.757, 0.458], [0.018, 0.697, 0.329], [0.027, 0.887, 0.558], [0.090, 0.868, 0.848], [0.172, 0.605, 0.115], [0.229, 0.422, 0.637], [0.233, 0.326, 0.279], [0.325, 0.512, 0.888], [0.407, 0.944, 0.314], [0.421, 0.142, 0.680], [0.469, 0.750, 0.060], [0.531, 0.250, 0.940], [0.579, 0.642, 0.320], [0.593, 0.444, 0.686], [0.675, 0.012, 0.112], [0.767, 0.826, 0.721], [0.771, 0.922, 0.363], [0.828, 0.105, 0.885], [0.910, 0.368, 0.152], [0.973, 0.387, 0.442], [0.982, 0.197, 0.671]]}


{"formula": "Rb2W3SeO12", "functional": "r2SCAN", "state": "relaxed", "magnetic_moment_mub_per_fu": 0.00, "ef_ev_per_atom": -2.1158, "lattice_angstrom": [[7.264, 0.000, 0.000], [-3.632, 6.291, 0.000], [0.000, 0.000, 12.159]], "species": ["Rb", "Rb", "Rb", "Rb", "W", "W", "W", "W", "W", "W", "Se", "Se", "O", "O", "O", "O", "O", "O", "O", "O", "O", "O", "O", "O", "O", "O", "O", "O", "O", "O", "O", "O", "O", "O", "O", "O"], "frac_coords": [[0.333, 0.667, 0.000], [0.333, 0.667, 0.378], [0.667, 0.333, 0.500], [0.667, 0.333, 0.878], [0.154, 0.339, 0.711], [0.185, 0.846, 0.711], [0.339, 0.185, 0.211], [0.661, 0.815, 0.711], [0.815, 0.154, 0.211], [0.846, 0.661, 0.211], [0.000, 0.000, 0.444], [0.000, 0.000, 0.944], [0.088, 0.548, 0.757], [0.121, 0.250, 0.200], [0.123, 0.247, 0.883], [0.125, 0.877, 0.883], [0.128, 0.879, 0.200], [0.197, 0.403, 0.573], [0.206, 0.803, 0.573], [0.247, 0.125, 0.383], [0.250, 0.128, 0.700], [0.403, 0.206, 0.073], [0.452, 0.540, 0.757], [0.460, 0.912, 0.757], [0.540, 0.088, 0.257], [0.548, 0.460, 0.257], [0.597, 0.794, 0.573], [0.750, 0.872, 0.200], [0.753, 0.875, 0.883], [0.794, 0.197, 0.073], [0.803, 0.597, 0.073], [0.872, 0.121, 0.700], [0.875, 0.123, 0.383], [0.877, 0.753, 0.383], [0.879, 0.750, 0.700], [0.912, 0.452, 0.257]]}


{"formula": "Rb6Si2O7", "functional": "r2SCAN", "state": "relaxed", "magnetic_moment_mub_per_fu": 0.00, "ef_ev_per_atom": -2.3268, "lattice_angstrom": [[6.748, 0.000, 0.000], [0.000, 9.214, 0.000], [-6.575, 0.000, 9.215]], "species": ["Rb", "Rb", "Rb", "Rb", "Rb", "Rb", "Rb", "Rb", "Rb", "Rb", "Rb", "Rb", "Si", "Si", "Si", "Si", "O", "O", "O", "O", "O", "O", "O", "O", "O", "O", "O", "O", "O", "O"], "frac_coords": [[0.017, 0.147, 0.407], [0.017, 0.353, 0.907], [0.208, 0.526, 0.455], [0.208, 0.974, 0.955], [0.389, 0.223, 0.275], [0.389, 0.277, 0.775], [0.611, 0.723, 0.225], [0.611, 0.777, 0.725], [0.792, 0.026, 0.045], [0.792, 0.474, 0.545], [0.983, 0.647, 0.093], [0.983, 0.853, 0.593], [0.334, 0.632, 0.877], [0.334, 0.868, 0.377], [0.666, 0.132, 0.623], [0.666, 0.368, 0.123], [0.089, 0.656, 0.872], [0.089, 0.844, 0.372], [0.270, 0.578, 0.721], [0.270, 0.922, 0.221], [0.495, 0.223, 0.065], [0.495, 0.277, 0.565], [0.500, 0.000, 0.500], [0.500, 0.500, 0.000], [0.505, 0.723, 0.435], [0.505, 0.777, 0.935], [0.730, 0.078, 0.779], [0.730, 0.422, 0.279], [0.911, 0.156, 0.628], [0.911, 0.344, 0.128]]}


{"formula": "Rb2SiO3", "functional": "r2SCAN", "state": "relaxed", "magnetic_moment_mub_per_fu": 0.00, "ef_ev_per_atom": -2.5059, "lattice_angstrom": [[6.530, 0.000, 0.000], [0.000, 13.347, 0.000], [-5.013, 0.000, 15.565]], "species": ["Rb", "Rb", "Rb", "Rb", "Rb", "Rb", "Rb", "Rb", "Rb", "Rb", "Rb", "Rb", "Rb", "Rb", "Rb", "Rb", "Rb", "Rb", "Rb", "Rb", "Rb", "Rb", "Rb", "Rb", "Si", "Si", "Si", "Si", "Si", "Si", "Si", "Si", "Si", "Si", "Si", "Si", "O", "O", "O", "O", "O", "O", "O", "O", "O", "O", "O", "O", "O", "O", "O", "O", "O", "O", "O", "O", "O", "O", "O", "O", "O", "O", "O", "O", "O", "O", "O", "O", "O", "O", "O", "O"], "frac_coords": [[0.004, 0.108, 0.417], [0.004, 0.392, 0.917], [0.105, 0.123, 0.864], [0.105, 0.377, 0.364], [0.129, 0.690, 0.303], [0.129, 0.810, 0.803], [0.280, 0.586, 0.530], [0.280, 0.914, 0.030], [0.348, 0.513, 0.781], [0.348, 0.987, 0.281], [0.441, 0.657, 0.992], [0.441, 0.843, 0.492], [0.559, 0.157, 0.508], [0.559, 0.343, 0.008], [0.652, 0.013, 0.719], [0.652, 0.487, 0.219], [0.720, 0.086, 0.970], [0.720, 0.414, 0.470], [0.871, 0.190, 0.197], [0.871, 0.310, 0.697], [0.895, 0.623, 0.636], [0.895, 0.877, 0.136], [0.996, 0.608, 0.083], [0.996, 0.892, 0.583], [0.165, 0.131, 0.637], [0.165, 0.369, 0.137], [0.270, 0.150, 0.106], [0.270, 0.350, 0.606], [0.454, 0.242, 0.285], [0.454, 0.258, 0.785], [0.546, 0.742, 0.215], [0.546, 0.758, 0.715], [0.730, 0.650, 0.394], [0.730, 0.850, 0.894], [0.835, 0.631, 0.863], [0.835, 0.869, 0.363], [0.063, 0.597, 0.854], [0.063, 0.903, 0.354], [0.106, 0.063, 0.112], [0.106, 0.437, 0.612], [0.131, 0.242, 0.587], [0.131, 0.258, 0.087], [0.275, 0.055, 0.586], [0.275, 0.445, 0.086], [0.300, 0.734, 0.662], [0.300, 0.766, 0.162], [0.305, 0.194, 0.337], [0.305, 0.306, 0.837], [0.334, 0.154, 0.735], [0.334, 0.346, 0.235], [0.398, 0.133, 0.037], [0.398, 0.367, 0.537], [0.452, 0.167, 0.202], [0.452, 0.333, 0.702], [0.548, 0.667, 0.298], [0.548, 0.833, 0.798], [0.602, 0.633, 0.463], [0.602, 0.867, 0.963], [0.666, 0.654, 0.765], [0.666, 0.846, 0.265], [0.695, 0.694, 0.163], [0.695, 0.806, 0.663], [0.700, 0.234, 0.838], [0.700, 0.266, 0.338], [0.725, 0.555, 0.914], [0.725, 0.945, 0.414], [0.869, 0.742, 0.913], [0.869, 0.758, 0.413], [0.894, 0.563, 0.388], [0.894, 0.937, 0.888], [0.937, 0.097, 0.646], [0.937, 0.403, 0.146]]}


{"formula": "Rb6Te2O9", "functional": "r2SCAN", "state": "relaxed", "magnetic_moment_mub_per_fu": 0.00, "ef_ev_per_atom": -1.5831, "lattice_angstrom": [[6.029, -6.337, 0.000], [6.029, 6.337, 0.000], [-6.029, 0.000, 9.233]], "species": ["Rb", "Rb", "Rb", "Rb", "Rb", "Rb", "Rb", "Rb", "Rb", "Rb", "Rb", "Rb", "Te", "Te", "Te", "Te", "O", "O", "O", "O", "O", "O", "O", "O", "O", "O", "O", "O", "O", "O", "O", "O", "O", "O"], "frac_coords": [[0.023, 0.723, 0.525], [0.141, 0.418, 0.237], [0.265, 0.471, 0.971], [0.277, 0.977, 0.975], [0.418, 0.141, 0.737], [0.471, 0.265, 0.471], [0.529, 0.735, 0.529], [0.582, 0.859, 0.263], [0.723, 0.023, 0.025], [0.735, 0.529, 0.029], [0.859, 0.582, 0.763], [0.977, 0.277, 0.475], [0.104, 0.896, 0.250], [0.376, 0.624, 0.750], [0.624, 0.376, 0.250], [0.896, 0.104, 0.750], [0.080, 0.707, 0.092], [0.082, 0.122, 0.714], [0.122, 0.082, 0.214], [0.161, 0.576, 0.744], [0.279, 0.521, 0.542], [0.293, 0.920, 0.408], [0.424, 0.839, 0.756], [0.475, 0.525, 0.250], [0.479, 0.721, 0.958], [0.521, 0.279, 0.042], [0.525, 0.475, 0.750], [0.576, 0.161, 0.244], [0.707, 0.080, 0.592], [0.721, 0.479, 0.458], [0.839, 0.424, 0.256], [0.878, 0.918, 0.786], [0.918, 0.878, 0.286], [0.920, 0.293, 0.908]]}